Computed, not measured: crystalline Bi2O3 at its relaxed geometry at the PBE level of DFT. Values from VASP.

- Formation energy: -1.5349 eV/atom
- E: -5.65 eV/atom
- M_tot: 0.00 μB per cell

Structure (Quantum ESPRESSO input):
```
&SYSTEM
  ibrav = 0, nat = 5, ntyp = 2
/
ATOMIC_SPECIES
Bi 208.98 Bi.upf
O 16.00 O.upf
CELL_PARAMETERS angstrom
3.741 0.000 0.000
-1.771 3.573 0.000
-0.025 -2.235 6.936
ATOMIC_POSITIONS crystal
Bi 0.000 0.000 0.000
Bi 0.422 0.867 0.479
O 0.119 0.227 0.335
O 0.335 0.661 0.021
O 0.902 0.798 0.653
```